VASP calculation (PBE+U) on a relaxed MgMn4O8 crystal.

a = 6.019 Å, b = 5.887 Å, c = 6.062 Å
α = 60.47°, β = 58.33°, γ = 61.20°
Positions (direct):
Mg 0.125 0.125 0.125
Mn 0.502 0.503 0.501
Mn 0.994 0.501 0.503
Mn 0.503 0.502 0.994
Mn 0.501 0.994 0.502
O 0.296 0.735 0.732
O 0.738 0.732 0.735
O 0.735 0.296 0.738
O 0.732 0.738 0.296
O 0.260 0.265 0.262
O 0.713 0.262 0.265
O 0.265 0.260 0.713
O 0.262 0.713 0.260

* ρ: 4.07 g cm⁻³
* energy relative to the lowest polymorph listed for this composition: 45.2 meV/atom
* total magnetization: 1.077 μB/atom
* uncorrected energy: -91.99 eV per formula unit
* formation energy from the elements: -26.3 eV per formula unit
* symmetry: No. 22

***

VASP calculation (PBE+U) on a relaxed Li3Cr2Co2O8 crystal.

a = 5.849 Å, b = 5.903 Å, c = 5.989 Å
α = 59.27°, β = 119.98°, γ = 118.67°
Positions (direct):
Li 0.500 0.000 0.500
Li 0.500 0.500 0.000
Li 0.000 0.500 0.500
Cr 0.000 0.000 0.000
Cr 0.000 0.500 0.000
Co 0.000 0.000 0.500
Co 0.500 0.000 0.000
O 0.765 0.240 0.248
O 0.235 0.760 0.753
O 0.240 0.214 0.776
O 0.760 0.786 0.224
O 0.218 0.226 0.230
O 0.225 0.759 0.217
O 0.775 0.241 0.783
O 0.782 0.774 0.770

* ρ: 4.19 g cm⁻³
* energy relative to the lowest polymorph listed for this composition: 0.0 meV/atom
* total magnetization: 0.333 μB/atom
* uncorrected energy: -94.45 eV per formula unit
* formation energy from the elements: -28.4 eV per formula unit
* symmetry: No. 2

***

VASP calculation (PBE+U) on a relaxed Li2NiP2O8 crystal.

a = 4.909 Å, b = 17.603 Å, c = 6.589 Å
α = 90.00°, β = 93.58°, γ = 90.00°
Positions (direct):
Li 0.232 0.557 0.220
Li 0.775 0.115 0.522
Li 0.725 0.615 0.978
Li 0.212 0.884 0.522
Li 0.813 0.303 0.196
Li 0.268 0.057 0.280
Li 0.288 0.384 0.978
Li 0.687 0.803 0.304
Ni 0.302 0.372 0.490
Ni 0.704 0.630 0.516
Ni 0.198 0.872 0.010
Ni 0.796 0.130 0.984
P 0.179 0.715 0.282
P 0.779 0.465 0.277
P 0.823 0.285 0.716
P 0.721 0.965 0.223
P 0.321 0.215 0.218
P 0.282 0.034 0.778
P 0.218 0.534 0.722
P 0.677 0.785 0.784
O 0.362 0.556 0.930
O 0.491 0.702 0.312
O 0.642 0.697 0.764
O 0.641 0.433 0.463
O 0.065 0.663 0.111
O 0.416 0.940 0.221
O 0.145 0.068 0.962
O 0.387 0.301 0.254
O 0.630 0.433 0.084
O 0.947 0.323 0.911
O 0.467 0.196 0.023
O 0.009 0.202 0.188
O 0.113 0.801 0.246
O 0.859 0.933 0.037
O 0.870 0.933 0.416
O 0.284 0.946 0.784
O 0.553 0.823 0.589
O 0.540 0.809 0.980
O 0.515 0.306 0.695
O 0.858 0.197 0.736
O 0.581 0.063 0.777
O 0.216 0.446 0.716
O 0.138 0.056 0.570
O 0.960 0.309 0.520
O 0.919 0.563 0.723
O 0.775 0.553 0.277
O 0.084 0.440 0.279
O 0.985 0.806 0.805
O 0.725 0.053 0.223
O 0.355 0.568 0.538
O 0.435 0.163 0.389
O 0.033 0.696 0.477

* ρ: 3.07 g cm⁻³
* energy relative to the lowest polymorph listed for this composition: 6.4 meV/atom
* total magnetization: 0.308 μB/atom
* uncorrected energy: -80.49 eV per formula unit
* formation energy from the elements: -28.5 eV per formula unit
* symmetry: No. 4

***

VASP calculation (PBE+U) on a relaxed Rb2MnP4O12 crystal.

a = 13.226 Å, b = 7.966 Å, c = 12.530 Å
α = 63.61°, β = 90.00°, γ = 90.00°
Positions (direct):
Rb 0.865 0.434 0.659
Rb 0.883 0.059 0.364
Rb 0.117 0.941 0.636
Rb 0.617 0.059 0.864
Rb 0.365 0.566 0.841
Rb 0.383 0.941 0.136
Rb 0.135 0.566 0.341
Rb 0.635 0.434 0.159
Mn 0.351 0.757 0.484
Mn 0.149 0.757 0.984
Mn 0.851 0.243 0.016
Mn 0.649 0.243 0.516
P 0.168 0.426 0.662
P 0.591 0.920 0.412
P 0.431 0.446 0.373
P 0.685 0.885 0.202
P 0.931 0.554 0.127
P 0.091 0.080 0.088
P 0.315 0.115 0.798
P 0.569 0.554 0.627
P 0.069 0.446 0.873
P 0.815 0.885 0.702
P 0.409 0.080 0.588
P 0.668 0.574 0.838
P 0.832 0.574 0.338
P 0.909 0.920 0.912
P 0.185 0.115 0.298
P 0.332 0.426 0.162
O 0.283 0.615 0.092
O 0.520 0.070 0.615
O 0.753 0.699 0.233
O 0.078 0.451 0.742
O 0.850 0.833 0.837
O 0.422 0.451 0.242
O 0.020 0.930 0.885
O 0.783 0.385 0.408
O 0.578 0.549 0.758
O 0.645 0.094 0.400
O 0.355 0.906 0.600
O 0.922 0.549 0.258
O 0.639 0.407 0.624
O 0.385 0.241 0.456
O 0.042 0.549 0.106
O 0.458 0.549 0.606
O 0.480 0.930 0.385
O 0.249 0.942 0.841
O 0.150 0.167 0.163
O 0.747 0.699 0.733
O 0.100 0.121 0.373
O 0.751 0.058 0.159
O 0.376 0.326 0.097
O 0.139 0.593 0.876
O 0.400 0.121 0.873
O 0.253 0.301 0.267
O 0.217 0.615 0.592
O 0.600 0.879 0.127
O 0.900 0.879 0.627
O 0.361 0.593 0.376
O 0.855 0.094 0.900
O 0.624 0.674 0.903
O 0.861 0.407 0.124
O 0.749 0.058 0.659
O 0.251 0.942 0.341
O 0.542 0.451 0.394
O 0.980 0.070 0.115
O 0.247 0.301 0.767
O 0.145 0.906 0.100
O 0.650 0.833 0.337
O 0.350 0.167 0.663
O 0.876 0.674 0.403
O 0.717 0.385 0.908
O 0.958 0.451 0.894
O 0.124 0.326 0.597
O 0.885 0.759 0.044
O 0.615 0.759 0.544
O 0.115 0.241 0.956

* ρ: 3.04 g cm⁻³
* total magnetization: 0.263 μB/atom
* uncorrected energy: -132.63 eV per formula unit
* formation energy from the elements: -50.4 eV per formula unit
* symmetry: No. 14